(1)
VASP calculation (PBE) on a relaxed structure of TaCoSb.

```
data_TaCoSb
_symmetry_space_group_name_H-M 'F -4 3 m'
_symmetry_Int_Tables_number 216
_symmetry_space_group_name_Hall 'F -4 2 3'
_cell_length_a 5.969
_cell_length_b 5.969
_cell_length_c 5.969
_cell_angle_alpha 90.00
_cell_angle_beta 90.00
_cell_angle_gamma 90.00
loop_
_atom_site_label
_atom_site_fract_x
_atom_site_fract_y
_atom_site_fract_z
Ta1 0.000 0.000 0.000
Co1 0.250 0.250 0.250
Sb1 0.000 0.000 0.500
```

- Size of the total moment: 0.00 μB per atom
- E_form: -0.19 eV/atom


(2)
VASP calculation (PBE) on a relaxed structure of Th3Co3Sb4.

```
data_Th3Co3Sb4
_symmetry_space_group_name_H-M 'I -4 3 d'
_symmetry_Int_Tables_number 220
_symmetry_space_group_name_Hall 'I -4bd 2c 3'
_cell_length_a 9.605
_cell_length_b 9.605
_cell_length_c 9.605
_cell_angle_alpha 90.00
_cell_angle_beta 90.00
_cell_angle_gamma 90.00
loop_
_atom_site_label
_atom_site_fract_x
_atom_site_fract_y
_atom_site_fract_z
Th1 0.000 0.250 0.375
Co1 0.000 0.250 0.875
Sb1 0.080 0.080 0.080
```

- E_form: -0.80 eV/atom


(3)
VASP calculation (PBE) on a relaxed structure of VCoSb.

```
data_VCoSb
_symmetry_space_group_name_H-M 'P 63/m m c'
_symmetry_Int_Tables_number 194
_symmetry_space_group_name_Hall '-P 6c 2c'
_cell_length_a 4.4881
_cell_length_b 4.4881
_cell_length_c 5.2346
_cell_angle_alpha 90.00
_cell_angle_beta 90.00
_cell_angle_gamma 120.00
loop_
_atom_site_label
_atom_site_fract_x
_atom_site_fract_y
_atom_site_fract_z
V1 0.3333 0.6667 0.2500
Co1 0.0000 0.0000 0.0000
Sb1 0.3333 0.6667 0.7500
```

- Size of the total moment: 0.66 μB per atom
- E_form: 0.27 eV/atom


(4)
VASP calculation (PBE) on a relaxed structure of VCoSb.

```
data_VCoSb
_symmetry_space_group_name_H-M 'F -4 3 m'
_symmetry_Int_Tables_number 216
_symmetry_space_group_name_Hall 'F -4 2 3'
_cell_length_a 5.827
_cell_length_b 5.827
_cell_length_c 5.827
_cell_angle_alpha 90.00
_cell_angle_beta 90.00
_cell_angle_gamma 90.00
loop_
_atom_site_label
_atom_site_fract_x
_atom_site_fract_y
_atom_site_fract_z
V1 0.000 0.000 0.000
Co1 0.250 0.250 0.750
Sb1 0.000 0.000 0.500
```

- E_form: -0.25 eV/atom


Question: What is the formula in the fourth record?
Answer: VCoSb